[1]
AlP2O11 GGA-PBE optimized geometry; space group = R3, No. 146
1.0
1.3865 0.5180 -7.4924
-6.7556 1.1788 -3.3613
-0.2742 7.4337 -1.7295
O P Al
22 4 2
Direct
0.7562 0.4451 0.8091
0.3424 0.0861 0.5423
0.7733 0.9357 0.6392
0.0861 0.5423 0.3424
0.8894 0.2377 0.0943
0.3615 0.5205 0.6832
0.5423 0.3424 0.0861
0.4017 0.4017 0.4017
0.3761 0.0840 0.1796
0.5205 0.6832 0.3615
0.9357 0.6392 0.7733
0.8091 0.7562 0.4451
0.7582 0.1001 0.9064
0.9064 0.7582 0.1001
0.2377 0.0943 0.8894
0.6832 0.3615 0.5205
0.1796 0.3761 0.0840
0.0840 0.1796 0.3761
0.4451 0.8091 0.7562
0.0943 0.8894 0.2377
0.1001 0.9064 0.7582
0.6392 0.7733 0.9357
0.7453 0.2709 0.9782
0.9782 0.7453 0.2709
0.4957 0.4957 0.4957
0.2709 0.9782 0.7453
0.8663 0.8663 0.8663
0.1303 0.1303 0.1303


[2]
Al2PO8 GGA-PBE optimized geometry; space group = Pna2_1, No. 33
1.0
-0.4880 -6.3248 -4.4968
7.2881 -2.2500 2.3737
-4.0583 -5.1053 7.6211
O Al P
32 8 4
Direct
0.7087 0.7145 0.4777
0.6341 0.0280 0.2078
0.0153 0.9797 0.9493
0.1613 0.9484 0.4388
0.1341 0.5280 0.2922
0.7913 0.7145 0.9777
0.5360 0.7165 0.2604
0.9847 0.4797 0.0507
0.8659 0.0280 0.7078
0.2913 0.2145 0.5223
0.1729 0.5402 0.5987
0.3185 0.9475 0.6599
0.3271 0.5402 0.0987
0.3628 0.3563 0.2447
0.6815 0.4475 0.3401
0.6372 0.8563 0.7553
0.1372 0.3563 0.7447
0.4640 0.2165 0.7396
0.1815 0.9475 0.1599
0.3387 0.9484 0.9388
0.2087 0.2145 0.0223
0.6729 0.0402 0.9013
0.6613 0.4484 0.0612
0.9640 0.7165 0.7604
0.8628 0.8563 0.2553
0.8271 0.0402 0.4013
0.8185 0.4475 0.8401
0.0360 0.2165 0.2396
0.3659 0.5280 0.7922
0.8387 0.4484 0.5612
0.5153 0.4797 0.5507
0.4847 0.9797 0.4493
0.0335 0.0047 0.2982
0.9665 0.5047 0.7018
0.5335 0.5047 0.2018
0.4665 0.0047 0.7982
0.8473 0.8768 0.8541
0.3473 0.3768 0.6459
0.6527 0.8768 0.3541
0.1527 0.3768 0.1459
0.8134 0.5219 0.9831
0.1866 0.0219 0.0169
0.3134 0.0219 0.5169
0.6866 0.5219 0.4831


no.,V (Å³ per cell),ΔE_f (eV/atom),total energy (eV/cell)
1,400.09,-1.300,-159.3
2,623.06,-2.046,-278.0